A:
Below is Li5GeP3 after structural relaxation, with properties calculated at the PBE level. Values from VASP.

Structure (Quantum ESPRESSO input):
```
&SYSTEM
  ibrav = 0, nat = 18, ntyp = 3
/
ATOMIC_SPECIES
Li 6.94 Li.upf
Ge 72.64 Ge.upf
P 30.97 P.upf
CELL_PARAMETERS angstrom
6.507 -2.931 0.000
6.507 2.931 0.000
-2.652 0.000 7.907
ATOMIC_POSITIONS angstrom
Li 1.907 1.452 7.221
Li 3.242 1.454 3.337
Li 4.518 1.490 5.930
Li 8.446 1.454 0.616
Li 7.129 1.452 4.640
Li 3.233 -1.452 3.267
Li 1.916 -1.454 7.291
Li 5.844 -1.490 1.977
Li 7.120 -1.454 4.570
Li 8.455 -1.452 0.686
Ge 5.844 1.366 1.977
Ge 4.518 -1.366 5.930
P 0.000 0.000 0.000
P -1.326 0.000 3.954
P 3.981 0.118 1.372
P 2.655 -0.118 5.325
P 7.707 0.118 2.582
P 6.381 -0.118 6.536
```

Summary:
**Spin magnetization**: 0.00 μB per atom

B:
Below is Li5GeP3 after structural relaxation, with properties calculated at the PBE level. Values from VASP.

Structure (Quantum ESPRESSO input):
```
&SYSTEM
  ibrav = 0, nat = 18, ntyp = 3
/
ATOMIC_SPECIES
Li 6.94 Li.upf
Ge 72.64 Ge.upf
P 30.97 P.upf
CELL_PARAMETERS angstrom
6.515 -2.963 0.000
6.515 2.963 0.000
-2.756 0.000 8.091
ATOMIC_POSITIONS angstrom
Li 2.493 1.478 5.457
Li 3.812 1.438 1.521
Li 5.136 1.539 4.045
Li 6.297 1.488 6.734
Li 7.769 1.423 2.851
Li 2.434 -1.438 5.567
Li 3.871 -1.478 1.411
Li 6.515 -1.539 0.000
Li 7.675 -1.488 2.688
Li 6.391 -1.423 6.897
Ge 6.369 1.246 0.402
Ge 4.991 -1.246 4.448
P 5.849 2.877 1.925
P 1.858 0.120 7.560
P 3.236 -0.120 3.514
P 8.351 0.131 0.680
P 6.973 -0.131 4.726
P 4.471 -2.877 5.970
```

Summary:
**Spin magnetization**: 0.00 μB per atom

Which is the most stable structure? B is the most stable.

A:
Below is Lu2GeO5 after structural relaxation, with properties calculated at the PBE level. Values from VASP.

Structure (Quantum ESPRESSO input):
```
&SYSTEM
  ibrav = 0, nat = 32, ntyp = 3
/
ATOMIC_SPECIES
Lu 174.97 Lu.upf
Ge 72.64 Ge.upf
O 16.00 O.upf
CELL_PARAMETERS angstrom
10.161 0.000 0.000
0.000 3.627 0.000
0.000 0.000 10.956
ATOMIC_POSITIONS angstrom
Lu 1.129 0.907 2.460
Lu 1.363 0.907 6.144
Lu 3.718 2.720 0.666
Lu 3.952 2.720 7.938
Lu 6.209 0.907 3.018
Lu 6.443 0.907 10.290
Lu 8.798 2.720 4.812
Lu 9.032 2.720 8.496
Ge 1.785 0.907 9.692
Ge 3.296 2.720 4.214
Ge 6.865 0.907 6.742
Ge 8.376 2.720 1.264
O 0.083 0.907 9.244
O 0.082 2.720 6.621
O 2.276 0.907 0.498
O 2.427 2.720 9.732
O 2.447 2.720 2.565
O 2.633 0.907 8.043
O 2.653 0.907 4.254
O 2.804 2.720 5.976
O 4.998 0.907 1.143
O 4.997 2.720 3.766
O 5.163 0.907 7.190
O 5.162 2.720 9.813
O 7.356 0.907 4.980
O 7.508 2.720 6.702
O 7.527 2.720 2.913
O 7.714 0.907 8.391
O 7.733 0.907 1.224
O 7.885 2.720 10.458
O 10.079 0.907 4.335
O 10.078 2.720 1.712
```

Summary:
**Spin magnetization**: 0.00 μB per atom

B:
Below is Lu2GeO5 after structural relaxation, with properties calculated at the PBE level. Values from VASP.

Structure (Quantum ESPRESSO input):
```
&SYSTEM
  ibrav = 0, nat = 32, ntyp = 3
/
ATOMIC_SPECIES
Lu 174.97 Lu.upf
Ge 72.64 Ge.upf
O 16.00 O.upf
CELL_PARAMETERS angstrom
7.340 -3.384 0.000
7.340 3.384 0.000
-5.413 0.000 8.764
ATOMIC_POSITIONS angstrom
Lu -2.527 0.836 7.351
Lu 3.945 1.758 4.663
Lu 0.180 -0.836 2.969
Lu 2.615 1.758 8.483
Lu 6.652 -1.758 0.281
Lu 9.087 0.836 5.795
Lu 5.322 -1.758 4.101
Lu 11.794 -0.836 1.413
Ge 0.875 0.631 6.061
Ge 3.581 -0.631 1.679
Ge 5.686 0.631 7.086
Ge 8.392 -0.631 2.704
O -0.822 1.042 5.924
O 6.533 2.723 0.903
O 1.984 2.025 5.895
O 5.440 2.723 3.479
O 4.058 0.551 0.466
O 4.576 2.025 7.252
O 1.885 -1.042 1.541
O 1.351 -0.551 4.848
O 1.420 0.062 7.638
O 4.127 -0.062 3.256
O 5.140 0.062 5.508
O 7.847 -0.062 1.126
O 7.916 0.551 3.916
O 7.382 1.042 7.223
O 4.691 -2.025 1.513
O 5.209 -0.551 8.298
O 3.827 -2.723 5.285
O 7.283 -2.025 2.869
O 2.734 -2.723 7.861
O 10.089 -1.042 2.841
```

C:
Below is Lu2GeO5 after structural relaxation, with properties calculated at the PBE level. Values from VASP.

Structure (Quantum ESPRESSO input):
```
&SYSTEM
  ibrav = 0, nat = 16, ntyp = 3
/
ATOMIC_SPECIES
Lu 174.97 Lu.upf
Ge 72.64 Ge.upf
O 16.00 O.upf
CELL_PARAMETERS angstrom
5.701 -2.580 0.000
5.701 2.580 0.000
-2.986 0.000 6.732
ATOMIC_POSITIONS angstrom
Lu 0.827 0.038 1.726
Lu -0.666 -0.038 5.092
Lu 9.081 0.038 1.640
Lu 7.588 -0.038 5.006
Ge 5.701 0.000 0.000
Ge 4.207 0.000 3.366
O 4.745 1.625 0.273
O 2.705 0.742 2.439
O 5.163 1.625 3.093
O 3.461 0.878 5.049
O 1.212 -0.742 5.805
O 7.203 0.742 0.927
O 4.954 -0.878 1.683
O 3.252 -1.625 3.639
O 5.710 -0.742 4.294
O 3.670 -1.625 6.459
```

Summary:
**Spin magnetization**: 0.00 μB per atom

Which is the most stable structure? B is the most stable.

A:
Below is Mg5Ge after structural relaxation, with properties calculated at the PBE level. Values from VASP.

Structure (Quantum ESPRESSO input):
```
&SYSTEM
  ibrav = 0, nat = 6, ntyp = 2
/
ATOMIC_SPECIES
Mg 24.30 Mg.upf
Ge 72.64 Ge.upf
CELL_PARAMETERS angstrom
0.000 4.097 4.097
4.097 0.000 4.097
4.097 4.097 0.000
ATOMIC_POSITIONS angstrom
Mg 0.000 0.000 0.000
Mg 5.120 3.074 3.074
Mg 3.074 5.120 3.074
Mg 3.074 3.074 5.120
Mg 5.120 5.120 5.120
Ge 2.048 2.048 2.048
```

Summary:
**Spin magnetization**: 0.01 μB per atom

B:
Below is Mg5Ge after structural relaxation, with properties calculated at the PBE level. Values from VASP.

Structure (Quantum ESPRESSO input):
```
&SYSTEM
  ibrav = 0, nat = 6, ntyp = 2
/
ATOMIC_SPECIES
Mg 24.30 Mg.upf
Ge 72.64 Ge.upf
CELL_PARAMETERS angstrom
5.123 0.000 0.000
0.000 1.586 7.946
0.000 -1.586 7.946
ATOMIC_POSITIONS angstrom
Mg 0.000 0.000 0.000
Mg 0.000 0.000 5.097
Mg 2.562 0.000 3.336
Mg 2.562 0.000 8.726
Mg 2.562 0.000 14.011
Ge 0.000 0.000 10.459
```

Summary:
**Spin magnetization**: 0.00 μB per atom

Which is the most stable structure? B is the most stable.